one.
## LiVOF2 (PBE with a Hubbard U)

Data for crystalline LiVOF2 at its relaxed geometry.

a = 9.7725 Å, b = 8.9420 Å, c = 5.3399 Å
α = 90.00°, β = 98.35°, γ = 90.00°
Last column: nearest neighbours and their distance in Å.
Space group C2/c (No. 15)
Asymmetric unit:
Li 0.1921 0.0888 0.3197 (multiplicity 8)  3 F 1.92, 1 O 1.98
V 0.0000 0.2443 0.7500 (multiplicity 4)  4 F 1.99-2.07, 2 O 2.00
V 0.0000 0.4216 0.2500 (multiplicity 4)  4 O 2.03-2.04, 2 F 2.08
O 0.1037 0.4090 0.6092 (multiplicity 8)  1 Li 1.98, 3 V 2.00-2.04
F 0.1112 0.2504 0.1113 (multiplicity 8)  1 Li 1.92, 2 V 2.07-2.08
F 0.1229 0.0875 0.6376 (multiplicity 8)  2 Li 1.92, 1 V 1.99


two.
## LiVOF2 (PBE with a Hubbard U)

Data for crystalline LiVOF2 at its relaxed geometry.

a = 5.4758 Å, b = 8.9729 Å, c = 10.1296 Å
α = 90.39°, β = 90.20°, γ = 90.39°
Last column: nearest neighbours and their distance in Å.
Space group P1 (No. 1)
Asymmetric unit:
Li 0.0000 0.0000 0.0000 (multiplicity 1)  2 F 1.86-2.00, 2 O 1.92-1.98
Li 0.0012 0.4897 0.0731 (multiplicity 1)  3 F 1.85-2.02, 1 O 1.99
Li 0.0702 0.3328 0.4837 (multiplicity 1)  4 F 1.86-1.94
Li 0.0751 0.8252 0.5809 (multiplicity 1)  3 F 1.91-1.97, 1 O 1.99
Li 0.4874 0.3178 0.0814 (multiplicity 1)  2 F 1.91-1.98, 2 O 1.94-2.06
Li 0.5040 0.8298 0.9982 (multiplicity 1)  2 F 1.86-2.00, 2 O 1.95-2.03
Li 0.5653 0.4887 0.4842 (multiplicity 1)  4 F 1.85-1.95
Li 0.5740 0.9863 0.5964 (multiplicity 1)  4 F 1.86-1.95
V 0.2694 0.1494 0.7998 (multiplicity 1)  2 O 1.89-1.99, 2 F 1.99-2.00
V 0.2797 0.9952 0.2854 (multiplicity 1)  4 O 1.91-2.10, 1 F 2.03
V 0.2900 0.5052 0.7991 (multiplicity 1)  3 O 1.86-2.06, 1 F 2.01
V 0.2948 0.6570 0.2802 (multiplicity 1)  2 O 1.96-2.05, 4 F 1.97-2.10
V 0.7663 0.1724 0.2792 (multiplicity 1)  2 O 1.87-2.00, 2 F 2.00-2.01
V 0.7760 0.6712 0.8003 (multiplicity 1)  2 O 1.89-1.99, 2 F 1.98-2.00
V 0.7863 0.3159 0.7992 (multiplicity 1)  3 O 1.86-2.07, 1 F 2.01
V 0.8028 0.8289 0.2839 (multiplicity 1)  3 O 1.95-2.06, 3 F 2.03-2.15
O 0.1144 0.8179 0.3856 (multiplicity 1)  1 Li 1.99, 3 V 1.99-2.10
O 0.4402 0.3248 0.8796 (multiplicity 1)  3 V 1.99-2.07, 1 Li 2.06
O 0.4543 0.1554 0.2056 (multiplicity 1)  2 V 1.87-1.91, 1 Li 1.94
O 0.4611 0.8266 0.1970 (multiplicity 1)  3 V 1.96-2.06, 1 Li 2.03
O 0.4673 0.6568 0.8830 (multiplicity 1)  2 V 1.86-1.89, 1 Li 1.95
O 0.9382 0.0014 0.1926 (multiplicity 1)  3 V 1.95-2.09, 1 Li 1.98
O 0.9441 0.4966 0.8788 (multiplicity 1)  3 V 1.99-2.06, 1 Li 1.99
O 0.9602 0.1640 0.8805 (multiplicity 1)  2 V 1.86-1.89, 1 Li 1.92
F 0.1014 0.1471 0.3989 (multiplicity 1)  1 Li 1.88, 1 V 2.03
F 0.1142 0.6470 0.6802 (multiplicity 1)  1 Li 1.91, 1 V 2.01
F 0.1156 0.3234 0.6740 (multiplicity 1)  1 Li 1.94
F 0.2313 0.5014 0.4203 (multiplicity 1)  2 Li 1.86-1.94, 1 V 2.03
F 0.2426 0.9903 0.6605 (multiplicity 1)  2 Li 1.91-1.93, 1 V 2.00
F 0.3412 0.4938 0.1512 (multiplicity 1)  2 Li 1.91-2.02, 1 V 1.97
F 0.3469 0.9995 0.9377 (multiplicity 1)  2 Li 1.86-2.00, 1 V 1.99
F 0.6073 0.1743 0.6778 (multiplicity 1)  1 Li 1.88, 1 V 2.01
F 0.6167 0.4962 0.6742 (multiplicity 1)  1 Li 1.95
F 0.6245 0.9909 0.4065 (multiplicity 1)  1 Li 1.95, 1 V 2.15
F 0.6301 0.6573 0.3807 (multiplicity 1)  1 Li 1.88, 2 V 2.06-2.10
F 0.7403 0.3284 0.4207 (multiplicity 1)  2 Li 1.85-1.91, 1 V 2.00
F 0.7426 0.8200 0.6552 (multiplicity 1)  2 Li 1.86-1.97, 1 V 2.00
F 0.8310 0.3300 0.1431 (multiplicity 1)  2 Li 1.85-1.98, 1 V 2.01
F 0.8495 0.8283 0.9338 (multiplicity 1)  2 Li 1.86-2.00, 1 V 1.98
F 0.9738 0.6699 0.1749 (multiplicity 1)  1 Li 1.92, 2 V 2.03-2.06


three.
## LiVOF2 (PBE with a Hubbard U)

Data for crystalline LiVOF2 at its relaxed geometry.

a = 5.3946 Å, b = 8.9565 Å, c = 9.8147 Å
α = 90.08°, β = 98.56°, γ = 90.01°
Last column: nearest neighbours and their distance in Å.
Space group P1 (No. 1)
Asymmetric unit:
Li 0.0000 0.0000 0.0000 (multiplicity 1)  4 F 1.87-2.00
Li 0.0113 0.5083 0.4825 (multiplicity 1)  2 F 1.92-1.96, 2 O 1.93-2.02
Li 0.1330 0.0031 0.3735 (multiplicity 1)  2 F 1.90-1.93, 2 O 1.96-2.01
Li 0.1472 0.5052 0.8569 (multiplicity 1)  4 F 1.89-1.99
Li 0.4965 0.8213 0.9877 (multiplicity 1)  3 F 1.92-1.97, 1 O 1.97
Li 0.5121 0.3296 0.4820 (multiplicity 1)  3 F 1.87-2.00, 1 O 2.00
Li 0.6344 0.8210 0.3730 (multiplicity 1)  2 F 1.92-1.93, 2 O 1.96-2.03
Li 0.6486 0.3288 0.8584 (multiplicity 1)  4 F 1.86-1.97
V 0.0771 0.3169 0.1929 (multiplicity 1)  3 O 1.87-2.05, 1 F 2.05
V 0.0778 0.1757 0.6684 (multiplicity 1)  1 O 1.93, 5 F 1.94-2.15
V 0.0838 0.8144 0.6654 (multiplicity 1)  4 O 1.88-2.04, 1 F 2.08
V 0.0909 0.6743 0.1907 (multiplicity 1)  2 O 1.90-1.99, 2 F 2.00
V 0.5570 0.6568 0.6692 (multiplicity 1)  2 O 1.89-2.03, 2 F 2.02-2.05
V 0.5618 0.9875 0.6792 (multiplicity 1)  3 O 1.95-2.04, 3 F 2.07-2.17
V 0.5775 0.5081 0.1916 (multiplicity 1)  3 O 1.86-2.04, 1 F 2.04
V 0.5903 0.1500 0.1909 (multiplicity 1)  2 O 1.90-1.99, 2 F 2.00
O 0.2030 0.0040 0.5809 (multiplicity 1)  3 V 1.93-2.04, 1 Li 2.01
O 0.2284 0.6634 0.5697 (multiplicity 1)  2 V 1.88-1.89, 1 Li 1.93
O 0.4242 0.8326 0.7851 (multiplicity 1)  3 V 1.95-2.13, 1 Li 1.97
O 0.4280 0.6608 0.2799 (multiplicity 1)  2 V 1.86-1.90, 1 Li 1.96
O 0.4481 0.3264 0.2755 (multiplicity 1)  3 V 1.99-2.05, 1 Li 2.00
O 0.7165 0.8296 0.5813 (multiplicity 1)  3 V 1.96-2.03, 1 Li 2.03
O 0.9261 0.1647 0.2818 (multiplicity 1)  2 V 1.87-1.90, 1 Li 1.96
O 0.9476 0.4982 0.2748 (multiplicity 1)  3 V 1.98-2.04, 1 Li 2.02
F 0.1697 0.8214 0.0501 (multiplicity 1)  2 Li 1.87-1.95, 1 V 2.00
F 0.1885 0.3252 0.5477 (multiplicity 1)  1 V 1.94, 2 Li 1.95-1.96
F 0.2130 0.4976 0.0616 (multiplicity 1)  1 Li 1.99, 2 V 2.18-2.19
F 0.2188 0.1639 0.0691 (multiplicity 1)  1 Li 1.94, 1 V 2.05
F 0.4358 0.1679 0.7816 (multiplicity 1)  1 Li 1.92, 2 V 2.07-2.08
F 0.4579 0.0010 0.3131 (multiplicity 1)  2 Li 1.92-1.93, 1 V 2.00
F 0.4738 0.5036 0.8068 (multiplicity 1)  2 Li 1.86-1.90, 1 V 2.02
F 0.6680 0.0031 0.0489 (multiplicity 1)  2 Li 1.92, 1 V 2.00
F 0.6969 0.4973 0.5517 (multiplicity 1)  2 Li 1.87-1.92, 1 V 2.05
F 0.7138 0.1618 0.5765 (multiplicity 1)  1 Li 2.00, 2 V 2.04-2.09
F 0.7136 0.3253 0.0614 (multiplicity 1)  1 Li 1.97, 2 V 2.18-2.19
F 0.7204 0.6599 0.0687 (multiplicity 1)  1 Li 1.97, 2 V 2.04-2.18
F 0.9285 0.6604 0.7873 (multiplicity 1)  1 Li 1.89, 1 V 2.08
F 0.9374 0.0079 0.7938 (multiplicity 1)  1 Li 2.00, 2 V 2.15-2.17
F 0.9560 0.8269 0.3086 (multiplicity 1)  2 Li 1.90-1.93, 1 V 2.00
F 0.9759 0.3199 0.8050 (multiplicity 1)  2 Li 1.92-1.93, 1 V 2.00


four.
## LiVOF2 (PBE with a Hubbard U)

Data for crystalline LiVOF2 at its relaxed geometry.

a = 8.8242 Å, b = 5.2755 Å, c = 12.6220 Å
α = 90.00°, β = 130.86°, γ = 90.00°
Last column: nearest neighbours and their distance in Å.
Space group Pc (No. 7)
Asymmetric unit:
Li 0.0000 0.0722 0.0000 (multiplicity 2)  4 F 1.87-1.96
Li 0.1956 0.4269 0.5048 (multiplicity 2)  3 F 1.88-1.95, 1 O 1.94
Li 0.6763 0.4122 0.6953 (multiplicity 2)  3 F 1.96-2.14, 1 O 2.08
Li 0.8775 0.0929 0.2133 (multiplicity 2)  3 F 1.95-2.17, 2 O 2.01-2.19
V 0.0400 0.3957 0.6945 (multiplicity 2)  1 O 1.86, 2 F 1.96-1.99
V 0.3929 0.0414 0.4191 (multiplicity 2)  4 O 1.89-2.07
V 0.5083 0.0775 0.1898 (multiplicity 2)  3 O 1.94-2.13, 3 F 2.01-2.13
V 0.5916 0.3897 0.9332 (multiplicity 2)  2 O 1.95-1.98, 4 F 2.05-2.11
O 0.1309 0.0938 0.7947 (multiplicity 2)  2 V 1.86-1.89, 1 Li 2.01
O 0.4135 0.2043 0.5618 (multiplicity 2)  2 V 1.89-1.94, 2 Li 1.94-2.08
O 0.4937 0.0758 0.8257 (multiplicity 2)  3 V 1.95-1.98
O 0.5708 0.2379 0.0669 (multiplicity 2)  3 V 1.98-2.13, 1 Li 2.19
F 0.0569 0.2751 0.5560 (multiplicity 2)  2 Li 1.90-1.91, 1 V 1.96
F 0.2370 0.2404 0.0728 (multiplicity 2)  2 Li 1.87-1.88, 1 V 2.01
F 0.3167 0.4207 0.3208 (multiplicity 2)  3 V 2.09-2.21
F 0.6222 0.4209 0.3061 (multiplicity 2)  1 Li 1.96, 2 V 2.05-2.13
F 0.7329 0.2887 0.5624 (multiplicity 2)  2 V 2.11-2.13, 1 Li 2.14
F 0.7914 0.0801 0.8028 (multiplicity 2)  3 Li 1.89-2.03, 1 V 2.07
F 0.8909 0.2775 0.0657 (multiplicity 2)  2 Li 1.96-2.17, 2 V 2.08-2.13
F 0.9774 0.4287 0.3018 (multiplicity 2)  2 Li 1.95-1.97, 1 V 1.99


It comes down to one, which is 45 meV/atom more stable than the next structure.


one.
## LiVOF2 (PBE with a Hubbard U)

Data for crystalline LiVOF2 at its relaxed geometry.

a = 5.3296 Å, b = 6.6116 Å, c = 6.6493 Å
α = 84.66°, β = 83.15°, γ = 83.87°
Last column: nearest neighbours and their distance in Å.
Space group P-1 (No. 2)
Asymmetric unit:
Li 0.1765 0.1062 0.2817 (multiplicity 2)  3 F 1.91-1.93, 1 O 1.97
Li 0.3215 0.7179 0.8911 (multiplicity 2)  3 F 1.92, 1 O 1.96
V 0.2478 0.5751 0.4173 (multiplicity 2)  4 O 1.99-2.06, 2 F 2.08-2.09
V 0.2516 0.2438 0.7594 (multiplicity 2)  2 O 1.99-2.02, 4 F 1.99-2.08
O 0.1122 0.3060 0.4879 (multiplicity 2)  1 Li 1.97, 3 V 1.99-2.04
O 0.3913 0.5118 0.6924 (multiplicity 2)  1 Li 1.96, 3 V 1.99-2.06
F 0.1090 0.6404 0.1348 (multiplicity 2)  1 Li 1.92, 2 V 2.06-2.09
F 0.1404 0.9635 0.7856 (multiplicity 2)  2 Li 1.91-1.92, 1 V 1.99
F 0.3619 0.2124 0.0372 (multiplicity 2)  2 Li 1.91-1.92, 1 V 1.99
F 0.3836 0.8603 0.3576 (multiplicity 2)  1 Li 1.93, 2 V 2.08


two.
## LiVOF2 (PBE with a Hubbard U)

Data for crystalline LiVOF2 at its relaxed geometry.

a = 5.6080 Å, b = 5.6445 Å, c = 23.4386 Å
α = 89.79°, β = 89.89°, γ = 60.23°
Last column: nearest neighbours and their distance in Å.
Space group P1 (No. 1)
Asymmetric unit:
Li 0.0000 0.0000 0.0000 (multiplicity 1)  5 F 1.85-2.04
Li 0.9998 0.3401 0.7501 (multiplicity 1)  3 F 1.90-1.96, 1 O 2.10
Li 0.0036 0.3277 0.2489 (multiplicity 1)  3 F 1.87-1.98
Li 0.0133 0.9991 0.4990 (multiplicity 1)  5 F 1.85-2.05
Li 0.3296 0.6771 0.7516 (multiplicity 1)  3 F 1.92-1.98, 2 O 2.07-2.14
Li 0.3408 0.3341 0.0000 (multiplicity 1)  5 F 1.86-2.02
Li 0.3435 0.6604 0.2489 (multiplicity 1)  5 F 1.84-2.05
Li 0.3576 0.3334 0.4981 (multiplicity 1)  3 F 1.88-1.98, 1 O 2.10
Li 0.6663 0.6627 0.0005 (multiplicity 1)  3 F 1.90-2.01, 1 O 2.10
Li 0.6669 0.0088 0.7512 (multiplicity 1)  5 F 1.88-2.04
Li 0.6793 0.9998 0.2486 (multiplicity 1)  3 F 1.87-1.98
Li 0.6818 0.6642 0.4985 (multiplicity 1)  5 F 1.85-2.05
V 0.0081 0.6514 0.8615 (multiplicity 1)  3 O 2.00-2.05, 4 F 2.12-2.20
V 0.0109 0.6490 0.3602 (multiplicity 1)  3 O 2.02-2.08, 4 F 2.10-2.19
V 0.0407 0.6341 0.6134 (multiplicity 1)  3 O 1.99-2.03, 2 F 2.11-2.22
V 0.3256 0.0171 0.6394 (multiplicity 1)  3 O 2.00-2.10, 4 F 2.08-2.23
V 0.3346 0.9894 0.8869 (multiplicity 1)  3 O 1.97-2.10, 3 F 2.09-2.17
V 0.3426 0.0312 0.3867 (multiplicity 1)  3 O 1.97-2.04, 2 F 2.12-2.19
V 0.3537 0.0014 0.1395 (multiplicity 1)  3 O 1.99-2.09, 3 F 2.08-2.13
V 0.6556 0.3521 0.6254 (multiplicity 1)  3 O 1.96-2.01, 3 F 2.13-2.18
V 0.6745 0.3145 0.3690 (multiplicity 1)  3 O 1.96-2.01, 2 F 2.16
V 0.6764 0.3676 0.8641 (multiplicity 1)  3 O 1.98-2.00, 1 F 2.17
V 0.6880 0.3347 0.1218 (multiplicity 1)  3 O 1.96-2.03, 3 F 2.14-2.18
V 0.9725 0.6695 0.1133 (multiplicity 1)  3 O 1.99-2.01, 4 F 2.15-2.23
O 0.0232 0.2935 0.3414 (multiplicity 1)  3 V 1.97-2.02, 1 Li 2.17
O 0.0457 0.2925 0.8389 (multiplicity 1)  3 V 1.99-2.02, 1 Li 2.10
O 0.3292 0.3863 0.4092 (multiplicity 1)  3 V 2.00-2.04, 1 Li 2.10
O 0.3291 0.6536 0.6604 (multiplicity 1)  3 V 1.96-2.10, 1 Li 2.14
O 0.3338 0.7032 0.8394 (multiplicity 1)  3 V 1.97-2.05, 1 Li 2.07
O 0.3756 0.2784 0.5902 (multiplicity 1)  3 V 1.99-2.03, 1 Li 2.18
O 0.6160 0.6968 0.0896 (multiplicity 1)  3 V 1.99-2.02, 1 Li 2.10
O 0.6495 0.0031 0.3397 (multiplicity 1)  3 V 1.96-2.08, 1 Li 2.14
O 0.7105 0.6452 0.9091 (multiplicity 1)  3 V 1.98-2.10, 1 Li 2.15
O 0.7119 0.9963 0.1578 (multiplicity 1)  3 V 1.99-2.04, 1 Li 2.13
O 0.9744 0.3739 0.6586 (multiplicity 1)  3 V 1.99-2.05, 1 Li 2.15
O 0.9883 0.3601 0.1587 (multiplicity 1)  3 V 1.96-2.09, 1 Li 2.12
F 0.0028 0.6668 0.0219 (multiplicity 1)  3 Li 1.94-1.96, 1 V 2.15
F 0.0148 0.6575 0.2705 (multiplicity 1)  3 Li 1.92-1.98, 1 V 2.10
F 0.0173 0.6628 0.5236 (multiplicity 1)  3 Li 1.97-1.98, 1 V 2.11
F 0.0222 0.0199 0.5864 (multiplicity 1)  1 Li 2.05, 3 V 2.10-2.22
F 0.0482 0.0036 0.0850 (multiplicity 1)  1 Li 2.01, 3 V 2.13-2.23
F 0.3180 0.6341 0.1634 (multiplicity 1)  1 Li 2.02, 3 V 2.15-2.25
F 0.3286 0.0062 0.9760 (multiplicity 1)  3 Li 1.94-2.01, 1 V 2.09
F 0.3373 0.3747 0.9142 (multiplicity 1)  1 Li 2.02, 2 V 2.12-2.22
F 0.3382 0.0100 0.7281 (multiplicity 1)  3 Li 1.92-1.98, 1 V 2.08
F 0.3451 0.9902 0.2280 (multiplicity 1)  3 Li 1.93-1.98, 1 V 2.08
F 0.3472 0.0015 0.4767 (multiplicity 1)  3 Li 1.95-1.97, 1 V 2.12
F 0.3501 0.2988 0.0854 (multiplicity 1)  1 Li 2.01, 3 V 2.09-2.21
F 0.3587 0.7004 0.3353 (multiplicity 1)  1 Li 2.05, 3 V 2.16-2.19
F 0.6280 0.7046 0.5852 (multiplicity 1)  1 Li 2.05, 3 V 2.13-2.24
F 0.6305 0.0247 0.8378 (multiplicity 1)  1 Li 2.04, 3 V 2.11-2.19
F 0.6654 0.3382 0.7630 (multiplicity 1)  3 Li 1.88-1.92
F 0.6674 0.3360 0.2556 (multiplicity 1)  3 Li 1.84-1.87
F 0.6747 0.3247 0.0108 (multiplicity 1)  3 Li 1.85-1.90
F 0.6924 0.3325 0.5020 (multiplicity 1)  3 Li 1.85-1.88
F 0.7096 0.6403 0.4136 (multiplicity 1)  1 Li 2.00, 3 V 2.12-2.23
F 0.7250 0.9796 0.6653 (multiplicity 1)  1 Li 2.03, 3 V 2.15-2.24
F 0.9615 0.9949 0.9137 (multiplicity 1)  1 Li 2.04, 3 V 2.17-2.23
F 0.9890 0.6779 0.7699 (multiplicity 1)  3 Li 1.89-1.95
F 0.9921 0.9682 0.4145 (multiplicity 1)  1 Li 2.00, 2 V 2.16-2.17


It comes down to one, which is 69 meV/atom more stable than the next structure.